# 1
GGA-PBE BaSnF6, relaxed; E_tot = -5.23 eV/atom; crystal system = trigonal; calculated density = 4.88 g/cm³; ΔH_f (0 K) = -2621 kJ/mol of formula units; SG = No. 148
1.0
3.804 2.196 2.514
-3.804 2.196 2.514
0.000 -4.392 2.514
Ba Sn F
1 1 6
Cartesian
0.000 0.000 0.000
0.000 0.000 3.770
-0.268 -1.550 2.527
-1.209 1.007 2.527
-1.476 -0.543 5.014
1.476 0.543 2.527
1.209 -1.007 5.014
0.268 1.550 5.014

***

# 2
GGA-PBE BaTbF6, relaxed; size of the total moment = 1.02 μB/f.u.; E_tot = -5.70 eV/atom; crystal system = orthorhombic; calculated density = 5.09 g/cm³; ΔH_f (0 K) = -2924 kJ/mol of formula units; SG = No. 67
1.0
3.990 -6.090 0.000
3.990 6.090 0.000
0.000 0.000 5.509
Ba Tb F
2 2 12
Cartesian
3.990 3.045 5.067
3.990 -3.045 0.442
1.995 0.000 2.755
5.984 0.000 2.755
1.577 1.729 4.162
3.990 5.403 3.772
2.413 1.729 1.347
1.577 -1.729 1.347
2.413 -1.729 4.162
3.990 0.686 3.772
3.990 -0.686 1.738
5.566 1.729 1.347
6.402 1.729 4.162
5.566 -1.729 4.162
3.990 -5.403 1.738
6.402 -1.729 1.347